VASP calculation (PBE with a Hubbard U) on a relaxed TbMn2O5 crystal.

abc: 7.385 8.592 5.793
angles: 90.00 90.00 90.00
Fractional coordinates of all 32 atoms:
Tb1 0.138 0.171 0.000
Tb2 0.362 0.671 0.000
Tb3 0.638 0.329 0.000
Tb4 0.862 0.829 0.000
Mn1 0.000 0.500 0.254
Mn2 0.000 0.500 0.746
Mn3 0.089 0.849 0.500
Mn4 0.411 0.349 0.500
Mn5 0.500 0.000 0.254
Mn6 0.500 0.000 0.746
Mn7 0.589 0.651 0.500
Mn8 0.911 0.151 0.500
O1 0.000 0.000 0.271
O2 0.000 0.000 0.729
O3 0.106 0.707 0.241
O4 0.106 0.707 0.759
O5 0.151 0.431 0.500
O6 0.163 0.443 0.000
O7 0.337 0.943 0.000
O8 0.349 0.931 0.500
O9 0.394 0.207 0.241
O10 0.394 0.207 0.759
O11 0.500 0.500 0.271
O12 0.500 0.500 0.729
O13 0.606 0.793 0.241
O14 0.606 0.793 0.759
O15 0.651 0.069 0.500
O16 0.663 0.057 0.000
O17 0.837 0.557 0.000
O18 0.849 0.569 0.500
O19 0.894 0.293 0.241
O20 0.894 0.293 0.759

As for the energy of formation from the pure elements: -2.651 eV/atom. As for the space-group type: Pbam (55). Its crystal system is orthorhombic.